! NaTiCuS3, relaxed, DFT PBE-GGA; values from VASP
&SYSTEM
  ibrav = 0, nat = 24, ntyp = 4
/
ATOMIC_SPECIES
Na 22.99 Na.upf
Ti 47.87 Ti.upf
Cu 63.55 Cu.upf
S 32.06 S.upf
ATOMIC_POSITIONS angstrom
Na 3.040 0.894 0.413
Na 3.450 2.681 5.220
Na 9.531 0.894 4.394
Na 9.940 2.681 9.201
Ti 0.161 0.894 3.134
Ti 6.329 2.681 7.941
Ti 6.651 0.894 1.673
Ti 12.820 2.681 6.480
Cu 0.168 2.681 0.922
Cu 6.323 0.894 5.729
Cu 6.658 2.681 3.885
Cu 12.813 0.894 8.692
S 1.218 0.894 5.438
S 1.282 2.681 8.382
S 1.752 2.681 2.524
S 4.739 0.894 7.331
S 5.208 0.894 3.575
S 5.272 2.681 0.631
S 7.709 0.894 8.983
S 7.772 2.681 6.039
S 8.242 2.681 2.283
S 11.229 0.894 7.090
S 11.699 0.894 1.232
S 11.762 2.681 4.176
CELL_PARAMETERS angstrom
12.981 0.000 0.000
0.000 3.574 0.000
0.000 0.000 9.614
! ρ = 3.43 g/cm³
! V = 18.6 A^3/atom
! SG = Pnma (62)
! Final energy = -128.11 eV per cell


! Na2ZrCu2S4, relaxed, DFT PBE-GGA; values from VASP
&SYSTEM
  ibrav = 0, nat = 9, ntyp = 4
/
ATOMIC_SPECIES
Na 22.99 Na.upf
Zr 91.22 Zr.upf
Cu 63.55 Cu.upf
S 32.06 S.upf
ATOMIC_POSITIONS angstrom
Na 1.743 0.000 0.391
Na 9.308 0.000 6.167
Zr -1.347 0.000 3.279
Cu 3.032 0.000 3.368
Cu 8.019 0.000 3.190
S 0.918 0.000 4.598
S 4.720 0.000 4.911
S 6.331 0.000 1.647
S 10.133 0.000 1.960
CELL_PARAMETERS angstrom
6.872 -1.870 0.000
6.872 1.870 0.000
-2.693 0.000 6.558
! ρ = 3.87 g/cm³
! V = 18.7 A^3/atom
! SG = C2/m (12)
! Final energy = -45.16 eV per cell


! NaZrCuS3, relaxed, DFT PBE-GGA; values from VASP
&SYSTEM
  ibrav = 0, nat = 12, ntyp = 4
/
ATOMIC_SPECIES
Na 22.99 Na.upf
Zr 91.22 Zr.upf
Cu 63.55 Cu.upf
S 32.06 S.upf
ATOMIC_POSITIONS angstrom
Na 1.856 3.288 7.356
Na 1.856 -3.288 2.452
Zr 0.000 0.000 0.000
Zr 0.000 0.000 4.904
Cu 1.856 0.389 2.452
Cu 1.856 -0.389 7.356
S 1.856 5.531 2.452
S 1.856 1.712 0.589
S 1.856 1.712 4.315
S 1.856 -1.712 5.493
S 1.856 -1.712 9.219
S 1.856 -5.531 7.356
CELL_PARAMETERS angstrom
1.856 -6.554 0.000
1.856 6.554 0.000
0.000 0.000 9.808
! ρ = 3.81 g/cm³
! V = 19.9 A^3/atom
! SG = Cmcm (63)
! Final energy = -67.02 eV per cell


! Na3CuSnSe4, relaxed, DFT PBE-GGA; values from VASP
&SYSTEM
  ibrav = 0, nat = 36, ntyp = 4
/
ATOMIC_SPECIES
Na 22.99 Na.upf
Cu 63.55 Cu.upf
Sn 118.71 Sn.upf
Se 78.96 Se.upf
ATOMIC_POSITIONS angstrom
Na -0.072 1.209 1.640
Na -3.470 3.951 8.216
Na 1.559 6.226 0.221
Na -1.839 9.255 6.797
Na -3.699 1.440 11.524
Na -0.301 3.721 4.948
Na 0.411 6.600 8.204
Na 3.809 8.881 1.628
Na 1.949 1.066 6.355
Na -1.449 4.094 12.931
Na 3.580 6.369 4.936
Na 0.182 9.111 11.512
Cu -0.617 6.215 2.814
Cu -4.016 9.265 9.390
Cu 4.126 1.055 3.762
Cu 0.728 4.105 10.338
Sn -2.780 6.591 10.584
Sn 0.619 8.889 4.008
Sn -0.509 1.431 9.144
Sn 2.890 3.729 2.568
Se -3.355 7.028 8.115
Se 0.043 8.452 1.539
Se -3.006 1.059 8.670
Se 0.393 4.101 2.094
Se -0.566 0.744 4.699
Se -3.965 4.416 11.275
Se -0.244 6.795 5.234
Se -3.642 8.685 11.810
Se 3.753 1.635 1.342
Se 0.354 3.525 7.918
Se 4.075 5.904 1.877
Se 0.676 9.576 8.453
Se -0.283 6.219 11.058
Se 3.116 9.261 4.482
Se 0.067 1.868 11.613
Se 3.466 3.292 5.037
CELL_PARAMETERS angstrom
6.907 0.000 0.000
0.000 10.320 0.000
-6.797 0.000 13.152
! ρ = 4.02 g/cm³
! V = 26.0 A^3/atom
! SG = P2_1/c (14)
! Final energy = -130.61 eV per cell


! NaTiCu3Se4, relaxed, DFT PBE-GGA; values from VASP
&SYSTEM
  ibrav = 0, nat = 9, ntyp = 4
/
ATOMIC_SPECIES
Na 22.99 Na.upf
Ti 47.87 Ti.upf
Cu 63.55 Cu.upf
Se 78.96 Se.upf
ATOMIC_POSITIONS angstrom
Na 0.000 0.000 0.000
Ti 2.947 2.947 2.947
Cu 0.000 2.947 2.947
Cu 2.947 0.000 2.947
Cu 2.947 2.947 0.000
Se 1.569 1.569 4.326
Se 1.569 4.326 1.569
Se 4.326 1.569 1.569
Se 4.326 4.326 4.326
CELL_PARAMETERS angstrom
5.894 0.000 0.000
0.000 5.894 0.000
0.000 0.000 5.894
! ρ = 4.68 g/cm³
! V = 22.8 A^3/atom
! Largest piezoelectric modulus = 0.214 C/m2
! SG = P-43m (215)
! Final energy = -41.65 eV per cell


! NaVCu3Se4, relaxed, DFT PBE-GGA; values from VASP
&SYSTEM
  ibrav = 0, nat = 9, ntyp = 4
/
ATOMIC_SPECIES
Na 22.99 Na.upf
V 50.94 V.upf
Cu 63.55 Cu.upf
Se 78.96 Se.upf
ATOMIC_POSITIONS angstrom
Na 0.000 0.000 0.000
V 2.939 2.939 2.939
Cu 0.000 2.939 2.939
Cu 2.939 0.000 2.939
Cu 2.939 2.939 0.000
Se 1.579 1.579 4.298
Se 1.579 4.298 1.579
Se 4.298 1.579 1.579
Se 4.298 4.298 4.298
CELL_PARAMETERS angstrom
5.877 0.000 0.000
0.000 5.877 0.000
0.000 0.000 5.877
! ρ = 4.75 g/cm³
! V = 22.6 A^3/atom
! SG = P-43m (215)
! Final energy = -41.12 eV per cell


! NaCu3Te2, relaxed, DFT PBE-GGA; values from VASP
&SYSTEM
  ibrav = 0, nat = 6, ntyp = 3
/
ATOMIC_SPECIES
Na 22.99 Na.upf
Cu 63.55 Cu.upf
Te 127.60 Te.upf
ATOMIC_POSITIONS angstrom
Na 0.000 0.000 0.000
Cu 0.000 0.000 3.496
Cu 0.000 0.000 11.101
Cu 0.000 0.000 20.778
Te 0.000 0.000 6.021
Te 0.000 0.000 18.012
CELL_PARAMETERS angstrom
2.150 1.241 7.945
-2.150 1.241 7.945
0.000 -2.482 7.945
! ρ = 6.12 g/cm³
! V = 21.2 A^3/atom
! SG = R3m (160)
! Distance to the lowest polymorph of the same formula = 13 meV per atom


! NaCu3Te2, relaxed, DFT PBE-GGA; values from VASP
&SYSTEM
  ibrav = 0, nat = 6, ntyp = 3
/
ATOMIC_SPECIES
Na 22.99 Na.upf
Cu 63.55 Cu.upf
Te 127.60 Te.upf
ATOMIC_POSITIONS angstrom
Na 0.000 0.000 0.000
Cu 0.000 0.000 3.151
Cu 0.000 0.000 11.871
Cu 0.000 0.000 20.592
Te 0.000 0.000 5.856
Te 0.000 0.000 17.887
CELL_PARAMETERS angstrom
2.138 1.235 7.914
-2.138 1.235 7.914
0.000 -2.469 7.914
! ρ = 6.21 g/cm³
! V = 20.9 A^3/atom
! SG = R-3m (166)
! Distance to the lowest polymorph of the same formula = 0 meV per atom


- Number 3 is which compound?
  NaZrCuS3